Density functional theory data (PBE) for an optimized crystal structure of Na2Ta3GaSi4S2O24.

Summary:
ΔH_f (0 K) = -2.81 eV per atom
ρ = 3.97 g/cm³
Energy = -7.6261 eV/atom

Cell lengths 8.782, 8.816, 22.782 Å; angles 89.34, 89.09, 60.22 degrees
Space group P1 (No. 1)
Asymmetric unit:
Na  0.000  0.000  0.000 x1
Na  0.012  0.001  0.507 x1
Na  0.328  0.341  0.332 x1
Na  0.345  0.329  0.832 x1
Na  0.663  0.668  0.668 x1
Na  0.688  0.659  0.165 x1
Ta  0.004  0.981  0.855 x1
Ta  0.020  0.980  0.353 x1
Ta  0.327  0.327  0.184 x1
Ta  0.342  0.321  0.478 x1
Ta  0.346  0.307  0.974 x1
Ta  0.362  0.312  0.689 x1
Ta  0.662  0.648  0.521 x1
Ta  0.665  0.665  0.810 x1
Ta  0.683  0.657  0.019 x1
Ga  0.015  0.990  0.644 x1
Ga  0.702  0.633  0.312 x1
Ga  0.982  0.993  0.140 x1
Si  0.048  0.311  0.082 x1
Si  0.289  0.708  0.744 x1
Si  0.336  0.034  0.583 x1
Si  0.386  0.939  0.915 x1
Si  0.400  0.649  0.409 x1
Si  0.631  0.033  0.082 x1
Si  0.642  0.306  0.581 x1
Si  0.677  0.372  0.915 x1
Si  0.737  0.980  0.744 x1
Si  0.963  0.370  0.413 x1
Si  0.965  0.649  0.912 x1
Si  0.997  0.708  0.246 x1
S  0.006  0.280  0.746 x1
S  0.052  0.611  0.580 x1
S  0.300  0.986  0.246 x1
S  0.339  0.612  0.081 x1
S  0.674  0.945  0.413 x1
S  0.719  0.279  0.247 x1
O  0.027  0.804  0.304 x1
O  0.036  0.173  0.800 x1
O  0.040  0.782  0.581 x1
O  0.045  0.133  0.093 x1
O  0.129  0.503  0.633 x1
O  0.142  0.353  0.139 x1
O  0.158  0.484  0.923 x1
O  0.162  0.338  0.424 x1
O  0.162  0.522  0.526 x1
O  0.165  0.301  0.740 x1
O  0.168  0.009  0.586 x1
O  0.171  0.296  0.025 x1
O  0.174  0.800  0.804 x1
O  0.180  0.512  0.240 x1
O  0.185  0.019  0.301 x1
O  0.187  0.784  0.088 x1
O  0.191  0.968  0.906 x1
O  0.200  0.825  0.404 x1
O  0.213  0.825  0.686 x1
O  0.215  0.968  0.195 x1
O  0.303  0.513  0.739 x1
O  0.312  0.153  0.243 x1
O  0.316  0.155  0.524 x1
O  0.317  0.528  0.029 x1
O  0.362  0.136  0.638 x1
O  0.364  0.500  0.135 x1
O  0.369  0.484  0.421 x1
O  0.371  0.131  0.920 x1
O  0.473  0.836  0.255 x1
O  0.476  0.821  0.974 x1
O  0.478  0.688  0.470 x1
O  0.492  0.672  0.754 x1
O  0.502  0.353  0.924 x1
O  0.503  0.621  0.078 x1
O  0.507  0.137  0.140 x1
O  0.507  0.856  0.857 x1
O  0.510  0.353  0.638 x1
O  0.513  0.632  0.352 x1
O  0.519  0.125  0.420 x1
O  0.522  0.848  0.572 x1
O  0.532  0.155  0.741 x1
O  0.533  0.157  0.025 x1
O  0.534  0.300  0.524 x1
O  0.543  0.292  0.243 x1
O  0.638  0.844  0.077 x1
O  0.643  0.873  0.360 x1
O  0.646  0.491  0.856 x1
O  0.651  0.490  0.575 x1
O  0.695  0.457  0.252 x1
O  0.704  0.463  0.973 x1
O  0.705  0.839  0.466 x1
O  0.707  0.812  0.753 x1
O  0.804  0.171  0.300 x1
O  0.813  0.021  0.804 x1
O  0.823  0.012  0.083 x1
O  0.824  0.687  0.254 x1
O  0.826  0.202  0.194 x1
O  0.831  0.139  0.586 x1
O  0.832  0.970  0.406 x1
O  0.841  0.467  0.471 x1
O  0.843  0.687  0.972 x1
O  0.845  0.959  0.685 x1
O  0.849  0.180  0.906 x1
O  0.851  0.457  0.753 x1
O  0.856  0.490  0.076 x1
O  0.874  0.623  0.855 x1
O  0.876  0.628  0.572 x1
O  0.894  0.485  0.355 x1
O  0.978  0.177  0.404 x1
O  0.978  0.207  0.693 x1
O  0.979  0.827  0.908 x1
O  0.983  0.824  0.189 x1